Mn5In4SbPd10: relaxed, PBE.

Cell and atoms, written as POSCAR:
```
Mn5In4SbPd10
1.0
2.272 1.312 18.528
-2.272 1.312 18.528
0.000 -2.624 18.528
Mn In Sb Pd
5 4 1 10
Direct
0.000 0.000 0.000
0.200 0.200 0.200
0.400 0.400 0.400
0.600 0.600 0.600
0.800 0.800 0.800
0.100 0.100 0.100
0.300 0.300 0.300
0.700 0.700 0.700
0.900 0.900 0.900
0.500 0.500 0.500
0.050 0.050 0.050
0.150 0.150 0.150
0.250 0.250 0.250
0.350 0.350 0.350
0.450 0.450 0.450
0.550 0.550 0.550
0.650 0.650 0.650
0.750 0.750 0.750
0.850 0.850 0.850
0.950 0.950 0.950
```

Values from the calculation:
Space group: R-3m, No. 166
Formation energy: -0.38 eV per atom
Mass density: 9.622 g/cm3
Calculated volume: 16.6 Å³/atom